[1]
## CsK3 (meta-GGA r2SCAN)

Data for an optimized crystal structure of CsK3.

Cell lengths 9.970, 9.970, 8.204 Å; angles 90.00, 90.00, 120.00 degrees
Fractional positions:
Cs 0.333 0.667 0.250
Cs 0.667 0.333 0.750
K 0.161 0.322 0.750
K 0.161 0.839 0.750
K 0.322 0.161 0.250
K 0.678 0.839 0.750
K 0.839 0.161 0.250
K 0.839 0.678 0.250

Computed properties:
- space-group type = P6_3/mmc (194)


[2]
## Ba7Hg31 (meta-GGA r2SCAN)

Data for an optimized crystal structure of Ba7Hg31.

Cell lengths 10.970, 10.970, 10.444 Å; angles 90.00, 90.00, 120.00 degrees
Fractional positions:
Ba 0.000 0.000 0.000
Ba 0.167 0.334 0.500
Ba 0.167 0.833 0.500
Ba 0.333 0.667 0.000
Ba 0.666 0.833 0.500
Ba 0.667 0.333 0.208
Ba 0.667 0.333 0.792
Hg 0.000 0.000 0.355
Hg 0.000 0.000 0.645
Hg 0.027 0.514 0.300
Hg 0.027 0.514 0.700
Hg 0.170 0.340 0.166
Hg 0.170 0.340 0.834
Hg 0.170 0.830 0.166
Hg 0.170 0.830 0.834
Hg 0.291 0.145 0.267
Hg 0.291 0.145 0.733
Hg 0.333 0.667 0.351
Hg 0.333 0.667 0.649
Hg 0.396 0.061 0.000
Hg 0.396 0.335 0.000
Hg 0.471 0.235 0.500
Hg 0.486 0.514 0.300
Hg 0.486 0.514 0.700
Hg 0.486 0.973 0.300
Hg 0.486 0.973 0.700
Hg 0.660 0.830 0.166
Hg 0.660 0.830 0.834
Hg 0.665 0.061 0.000
Hg 0.665 0.604 0.000
Hg 0.765 0.235 0.500
Hg 0.765 0.529 0.500
Hg 0.855 0.145 0.267
Hg 0.855 0.145 0.733
Hg 0.855 0.709 0.267
Hg 0.855 0.709 0.733
Hg 0.939 0.335 0.000
Hg 0.939 0.604 0.000

Computed properties:
- space-group type = P-6m2 (187)


[3]
## KB21H18 (meta-GGA r2SCAN)

Data for an optimized crystal structure of KB21H18.

Cell lengths 7.227, 7.227, 16.847 Å; angles 94.24, 94.24, 59.19 degrees
Fractional positions:
K 0.000 0.000 0.000
K 0.788 0.212 0.500
B 0.010 0.690 0.235
B 0.035 0.446 0.370
B 0.040 0.287 0.177
B 0.069 0.428 0.264
B 0.136 0.057 0.677
B 0.173 0.757 0.391
B 0.177 0.502 0.079
B 0.210 0.647 0.160
B 0.211 0.751 0.290
B 0.229 0.505 0.420
B 0.234 0.250 0.107
B 0.243 0.827 0.609
B 0.249 0.789 0.710
B 0.286 0.039 0.594
B 0.288 0.473 0.249
B 0.294 0.056 0.870
B 0.305 0.321 0.338
B 0.309 0.216 0.208
B 0.310 0.990 0.765
B 0.322 0.151 0.684
B 0.353 0.790 0.840
B 0.386 0.517 0.345
B 0.389 0.363 0.152
B 0.431 0.149 0.815
B 0.483 0.614 0.655
B 0.495 0.771 0.580
B 0.498 0.823 0.921
B 0.527 0.712 0.751
B 0.544 0.034 0.907
B 0.554 0.965 0.630
B 0.572 0.931 0.736
B 0.637 0.611 0.848
B 0.679 0.695 0.662
B 0.713 0.960 0.823
B 0.750 0.766 0.893
B 0.784 0.691 0.792
B 0.849 0.678 0.316
B 0.851 0.569 0.185
B 0.943 0.864 0.323
B 0.944 0.706 0.130
B 0.961 0.714 0.406
B 0.966 0.456 0.093
H 0.124 0.789 0.569
H 0.126 0.185 0.897
H 0.140 0.728 0.732
H 0.203 0.160 0.541
H 0.211 0.876 0.431
H 0.219 0.532 0.016
H 0.232 0.731 0.851
H 0.263 0.336 0.689
H 0.269 0.768 0.149
H 0.272 0.860 0.268
H 0.309 0.432 0.483
H 0.318 0.090 0.066
H 0.363 0.334 0.809
H 0.428 0.138 0.350
H 0.437 0.043 0.229
H 0.468 0.781 0.984
H 0.536 0.429 0.643
H 0.546 0.153 0.959
H 0.568 0.691 0.517
H 0.571 0.464 0.357
H 0.573 0.291 0.140
H 0.659 0.024 0.602
H 0.664 0.737 0.311
H 0.666 0.637 0.191
H 0.709 0.427 0.860
H 0.815 0.874 0.103
H 0.819 0.053 0.319
H 0.838 0.020 0.820
H 0.840 0.797 0.459
H 0.847 0.454 0.041
H 0.862 0.572 0.650
H 0.910 0.682 0.934
H 0.947 0.181 0.681
H 0.957 0.563 0.771
H 0.976 0.341 0.398
H 0.980 0.162 0.180

Computed properties:
- space-group type = C2 (5)


[4]
## Tb6NiBr10 (meta-GGA r2SCAN)

Data for an optimized crystal structure of Tb6NiBr10.

Cell lengths 7.286, 9.091, 9.115 Å; angles 108.41, 97.13, 105.78 degrees
Fractional positions:
Tb 0.027 0.203 0.406
Tb 0.122 0.544 0.255
Tb 0.358 0.635 0.678
Tb 0.642 0.365 0.322
Tb 0.878 0.456 0.745
Tb 0.973 0.797 0.594
Ni 0.000 0.500 0.500
Br 0.087 0.870 0.323
Br 0.211 0.238 0.147
Br 0.259 0.587 0.962
Br 0.362 0.961 0.774
Br 0.451 0.319 0.587
Br 0.549 0.681 0.413
Br 0.638 0.039 0.226
Br 0.741 0.413 0.038
Br 0.789 0.762 0.853
Br 0.913 0.130 0.677

Computed properties:
- space-group type = P-1 (2)


no.,E (eV/atom),energy relative to the elements (meV per atom)
1,-10.7765,14
2,-45.5204,-365
3,-5.7644,-202
4,-21.3482,-1823